Entry 1:
Material: Li2CoSi4O10
Method: DFT, PBE with a Hubbard U
State: relaxed

Lattice parameters (Å, degrees): 6.9073 7.5902 9.6471 99.70 103.20 116.62
Closest atoms and distances in Å follow each position.
Positions (direct):
Li: 0.3784 0.2351 0.0214  2 O 2.01-2.04
Li: 0.2133 0.6858 0.5719  3 O 2.00-2.21
Li: 0.7867 0.3142 0.4281  3 O 2.00-2.21
Li: 0.6216 0.7649 0.9786  2 O 2.01-2.04
Co: 0.2445 0.3080 0.4282  5 O 2.05-2.12
Co: 0.7555 0.6919 0.5718  5 O 2.05-2.12
Si: 0.2432 0.9498 0.1900  4 O 1.59-1.68
Si: 0.3841 0.6349 0.2551  4 O 1.61-1.66
Si: 0.8033 0.6104 0.2350  4 O 1.60-1.68
Si: 0.8895 0.2717 0.1410  4 O 1.59-1.67
Si: 0.1105 0.7283 0.8590  4 O 1.59-1.67
Si: 0.1967 0.3896 0.7650  4 O 1.60-1.68
Si: 0.6159 0.3651 0.7449  4 O 1.61-1.66
Si: 0.7568 0.0502 0.8100  4 O 1.59-1.68
O: 0.2322 0.9309 0.0116  2 Si 1.66-1.68
O: 0.1334 0.4480 0.1342  2 Si 1.64
O: 0.4055 0.8601 0.2612  2 Si 1.64
O: 0.5674 0.6228 0.1747  2 Si 1.65-1.66
O: 0.9791 0.7944 0.1823  2 Si 1.64-1.65
O: 0.7222 0.3774 0.1223  2 Si 1.67-1.68
O: 0.4320 0.6126 0.4205  1 Si 1.61
O: 0.3469 0.1892 0.2713  1 Si 1.59
O: 0.0817 0.7884 0.7082  1 Si 1.59
O: 0.1097 0.3783 0.5930  1 Si 1.60
O: 0.8903 0.6217 0.4070  1 Si 1.60
O: 0.9183 0.2116 0.2918  1 Si 1.59
O: 0.6531 0.8108 0.7287  1 Si 1.59
O: 0.5680 0.3874 0.5795  1 Si 1.61
O: 0.2778 0.6226 0.8777  2 Si 1.67-1.68
O: 0.0209 0.2056 0.8177  2 Si 1.64-1.65
O: 0.4326 0.3772 0.8253  2 Si 1.65-1.66
O: 0.5945 0.1399 0.7388  2 Si 1.64
O: 0.8666 0.5520 0.8658  2 Si 1.64
O: 0.7678 0.0691 0.9884  2 Si 1.66-1.68

Summary:
The energy relative to the elements is -2823 meV/atom.

***

Entry 2:
Material: Li2Co2Si3O9
Method: DFT, PBE with a Hubbard U
State: relaxed

Lattice parameters (Å, degrees): 7.2308 10.5684 12.1887 69.57 90.00 90.00
Closest atoms and distances in Å follow each position.
Positions (direct):
Li: 0.0375 0.9478 0.6325  2 O 1.98-1.99
Li: 0.4625 0.9478 0.1325  2 O 1.98-1.99
Li: 0.9358 0.5430 0.6590  2 O 1.89
Li: 0.4358 0.4570 0.8410  2 O 1.89
Li: 0.5642 0.5430 0.1590  2 O 1.89
Li: 0.0642 0.4570 0.3410  2 O 1.89
Li: 0.5375 0.0522 0.8675  2 O 1.98-1.99
Li: 0.9625 0.0522 0.3675  2 O 1.98-1.99
Co: 0.1036 0.9444 0.9242  4 O 1.96-2.01
Co: 0.3964 0.9444 0.4242  4 O 1.96-2.01
Co: 0.3666 0.5652 0.5605  4 O 1.94-2.01
Co: 0.8666 0.4348 0.9395  4 O 1.94-2.01
Co: 0.1334 0.5652 0.0605  4 O 1.94-2.01
Co: 0.6334 0.4348 0.4395  4 O 1.94-2.01
Co: 0.6036 0.0556 0.5758  4 O 1.96-2.01
Co: 0.8964 0.0556 0.0758  4 O 1.96-2.01
Si: 0.4532 0.7709 0.9378  4 O 1.63-1.66
Si: 0.8470 0.7603 0.8550  4 O 1.62-1.66
Si: 0.5260 0.7425 0.7030  4 O 1.62-1.67
Si: 0.0468 0.7709 0.4378  4 O 1.63-1.66
Si: 0.6530 0.7603 0.3550  4 O 1.62-1.66
Si: 0.9740 0.7425 0.2030  4 O 1.62-1.67
Si: 0.0260 0.2575 0.7970  4 O 1.62-1.67
Si: 0.3471 0.2397 0.6450  4 O 1.62-1.66
Si: 0.9532 0.2291 0.5622  4 O 1.63-1.66
Si: 0.4740 0.2575 0.2970  4 O 1.62-1.67
Si: 0.1530 0.2397 0.1450  4 O 1.62-1.66
Si: 0.5468 0.2291 0.0622  4 O 1.63-1.66
O: 0.3688 0.9053 0.9567  1 Si 1.64
O: 0.9883 0.8868 0.8039  1 Si 1.62
O: 0.5050 0.8743 0.5854  1 Si 1.62
O: 0.6805 0.7948 0.9344  2 Si 1.66
O: 0.1312 0.9053 0.4567  1 Si 1.64
O: 0.4005 0.7638 0.8085  2 Si 1.65
O: 0.7481 0.7324 0.7427  2 Si 1.66-1.67
O: 0.5117 0.8868 0.3039  1 Si 1.62
O: 0.3927 0.6293 0.0390  1 Si 1.63
O: 0.9950 0.8743 0.0854  1 Si 1.62
O: 0.9454 0.6197 0.9330  1 Si 1.62
O: 0.8195 0.7948 0.4344  2 Si 1.66
O: 0.0995 0.7638 0.3085  2 Si 1.65
O: 0.4677 0.5977 0.6955  1 Si 1.62
O: 0.7519 0.7324 0.2427  2 Si 1.66-1.67
O: 0.1073 0.6293 0.5390  1 Si 1.63
O: 0.5546 0.6197 0.4330  1 Si 1.62
O: 0.0323 0.5977 0.1955  1 Si 1.62
O: 0.9677 0.4023 0.8045  1 Si 1.62
O: 0.4454 0.3803 0.5670  1 Si 1.62
O: 0.8927 0.3707 0.4610  1 Si 1.63
O: 0.2481 0.2676 0.7573  2 Si 1.66-1.67
O: 0.5323 0.4023 0.3045  1 Si 1.62
O: 0.9005 0.2362 0.6915  2 Si 1.65
O: 0.1805 0.2052 0.5656  2 Si 1.66
O: 0.0546 0.3803 0.0670  1 Si 1.62
O: 0.0050 0.1257 0.9146  1 Si 1.62
O: 0.6073 0.3707 0.9610  1 Si 1.63
O: 0.4883 0.1132 0.6961  1 Si 1.62
O: 0.2519 0.2676 0.2573  2 Si 1.66-1.67
O: 0.5995 0.2362 0.1915  2 Si 1.65
O: 0.8688 0.0947 0.5433  1 Si 1.64
O: 0.3195 0.2052 0.0656  2 Si 1.66
O: 0.4950 0.1257 0.4146  1 Si 1.62
O: 0.0117 0.1132 0.1961  1 Si 1.62
O: 0.6312 0.0947 0.0433  1 Si 1.64

Summary:
The energy relative to the elements is -2574 meV/atom.

***

Entry 3:
Material: Li3Co2Si3O10
Method: DFT, PBE with a Hubbard U
State: relaxed

Lattice parameters (Å, degrees): 5.3937 5.3607 16.9466 84.92 84.05 60.26
Closest atoms and distances in Å follow each position.
Positions (direct):
Li: 0.6747 0.8267 0.9461  4 O 1.96-2.02
Li: 0.5624 0.8222 0.2648  4 O 2.02-2.23
Li: 0.8229 0.6455 0.4450  3 O 1.96-1.97
Li: 0.1772 0.3531 0.5551  3 O 1.96-1.97
Li: 0.4374 0.1778 0.7354  4 O 2.01-2.23
Li: 0.3255 0.1744 0.0541  4 O 1.95-2.02
Co: 0.1763 0.0092 0.4119  4 O 1.97-2.02
Co: 0.9947 0.8161 0.0857  4 O 1.90-1.98
Co: 0.0048 0.1842 0.9143  4 O 1.90-1.99
Co: 0.8236 0.9902 0.5881  4 O 1.97-2.02
Si: 0.1366 0.8682 0.7506  4 O 1.62-1.67
Si: 0.4733 0.6773 0.5979  4 O 1.64-1.66
Si: 0.6683 0.4790 0.0996  4 O 1.63-1.68
Si: 0.3314 0.5211 0.9003  4 O 1.64-1.67
Si: 0.5266 0.3223 0.4022  4 O 1.64-1.66
Si: 0.8633 0.1310 0.2492  4 O 1.62-1.68
O: 0.8585 0.9376 0.7047  1 Si 1.62
O: 0.8882 0.8813 0.1968  1 Si 1.62
O: 0.7759 0.6572 0.5617  1 Si 1.64
O: 0.6592 0.7799 0.0650  1 Si 1.65
O: 0.3990 0.8300 0.6838  2 Si 1.65-1.66
O: 0.2072 0.9038 0.5429  1 Si 1.66
O: 0.0609 0.8003 0.9455  1 Si 1.66
O: 0.5208 0.6324 0.3920  1 Si 1.64
O: 0.6348 0.5108 0.9110  1 Si 1.64
O: 0.7336 0.4431 0.1958  2 Si 1.68
O: 0.2664 0.5572 0.8043  2 Si 1.67
O: 0.3661 0.4895 0.0887  1 Si 1.63
O: 0.4790 0.3673 0.6079  1 Si 1.64
O: 0.9394 0.2002 0.0543  1 Si 1.66
O: 0.7926 0.0963 0.4571  1 Si 1.66
O: 0.6009 0.1698 0.3161  2 Si 1.65-1.66
O: 0.3408 0.2210 0.9349  1 Si 1.64
O: 0.2244 0.3422 0.4383  1 Si 1.64
O: 0.1118 0.1191 0.8034  1 Si 1.62
O: 0.1413 0.0628 0.2954  1 Si 1.63

Summary:
The energy relative to the elements is -2524 meV/atom.

***

Entry 4:
Material: Li3Co2Si3O10
Method: DFT, PBE with a Hubbard U
State: relaxed

Lattice parameters (Å, degrees): 5.3474 5.3623 16.9444 90.77 94.82 119.22
Closest atoms and distances in Å follow each position.
Positions (direct):
Li: 0.5025 0.6757 0.0556  4 O 1.91-2.05
Li: 0.3763 0.5552 0.7301  3 O 1.96-2.19
Li: 0.5031 0.8244 0.5545  4 O 1.96-2.05
Li: 0.4976 0.1773 0.4464  4 O 1.97-2.07
Li: 0.6161 0.4406 0.2664  4 O 2.02-2.23
Li: 0.4989 0.3248 0.9477  4 O 1.95-2.04
Co: 0.1870 0.1765 0.5865  5 O 2.01-2.24
Co: 0.8133 0.9957 0.9167  4 O 1.86-1.97
Co: 0.1945 0.0090 0.0885  4 O 1.91-2.01
Co: 0.8124 0.8251 0.4137  5 O 1.99-2.22
Si: 0.0090 0.1405 0.2503  4 O 1.61-1.68
Si: 0.1504 0.4766 0.4031  4 O 1.64-1.66
Si: 0.1491 0.6654 0.8982  4 O 1.64-1.66
Si: 0.8533 0.3321 0.0983  4 O 1.63-1.67
Si: 0.8485 0.5264 0.5972  4 O 1.63-1.67
Si: 0.9907 0.8609 0.7502  4 O 1.61-1.68
O: 0.7998 0.8639 0.2967  1 Si 1.62
O: 0.7730 0.8889 0.8069  1 Si 1.63
O: 0.4289 0.7821 0.4366  1 Si 1.64
O: 0.4421 0.6620 0.9345  1 Si 1.64
O: 0.2277 0.4078 0.3157  2 Si 1.65-1.66
O: 0.1311 0.2097 0.4555  1 Si 1.66
O: 0.8561 0.0575 0.0519  1 Si 1.67
O: 0.1608 0.5357 0.6055  1 Si 1.64
O: 0.1465 0.6286 0.0860  1 Si 1.63
O: 0.1714 0.7238 0.8026  2 Si 1.66-1.68
O: 0.8262 0.2663 0.1944  2 Si 1.67-1.68
O: 0.8584 0.3605 0.9110  1 Si 1.65
O: 0.8399 0.4712 0.3965  1 Si 1.64
O: 0.1349 0.9347 0.9425  1 Si 1.66
O: 0.8644 0.7897 0.5439  1 Si 1.66
O: 0.7665 0.5988 0.6844  2 Si 1.66-1.67
O: 0.5644 0.3445 0.0633  1 Si 1.64
O: 0.5735 0.2190 0.5639  1 Si 1.63
O: 0.2338 0.1084 0.1991  1 Si 1.61
O: 0.1980 0.1407 0.7060  1 Si 1.61

Summary:
The energy relative to the elements is -2529 meV/atom.